Record 1
Here is a relaxed Li5CrSi4O12 crystal from the Materials Project database. Energies are from GGA+U.

```
Li5CrSi4O12
1.0
-7.836 -9.959 1.617
6.977 -1.334 -10.618
7.480 1.654 10.223
O Li Si Cr
72 30 24 6
direct
0.101 0.257 0.658
0.728 0.426 0.369
0.065 0.125 0.782
0.848 0.431 0.587
0.046 0.383 0.333
0.834 0.401 0.222
0.789 0.932 0.913
0.095 0.588 0.814
0.401 0.221 0.834
0.125 0.782 0.065
0.218 0.875 0.935
0.779 0.599 0.166
0.152 0.413 0.569
0.222 0.834 0.401
0.450 0.118 0.170
0.166 0.778 0.599
0.631 0.574 0.271
0.569 0.152 0.413
0.954 0.667 0.617
0.291 0.431 0.445
0.935 0.218 0.875
0.593 0.311 0.085
0.257 0.658 0.101
0.089 0.936 0.340
0.911 0.660 0.064
0.550 0.830 0.882
0.569 0.709 0.555
0.445 0.291 0.431
0.574 0.271 0.631
0.170 0.450 0.118
0.905 0.186 0.412
0.085 0.593 0.311
0.830 0.882 0.550
0.936 0.340 0.089
0.915 0.689 0.408
0.412 0.906 0.186
0.875 0.935 0.218
0.333 0.046 0.383
0.899 0.342 0.743
0.587 0.848 0.431
0.064 0.911 0.660
0.186 0.412 0.906
0.814 0.094 0.588
0.782 0.065 0.125
0.087 0.068 0.211
0.431 0.587 0.848
0.413 0.569 0.152
0.743 0.899 0.342
0.342 0.743 0.899
0.432 0.445 0.291
0.617 0.954 0.667
0.068 0.211 0.087
0.932 0.913 0.789
0.407 0.915 0.689
0.667 0.617 0.954
0.383 0.333 0.046
0.426 0.369 0.728
0.709 0.556 0.569
0.118 0.170 0.450
0.689 0.407 0.915
0.369 0.728 0.426
0.658 0.101 0.257
0.660 0.064 0.911
0.555 0.569 0.709
0.588 0.814 0.094
0.882 0.550 0.830
0.311 0.085 0.593
0.913 0.789 0.932
0.272 0.631 0.574
0.340 0.089 0.936
0.211 0.087 0.068
0.599 0.166 0.779
0.170 0.183 0.981
0.666 0.232 0.181
0.019 0.817 0.829
0.335 0.819 0.768
0.723 0.184 0.580
0.372 0.362 0.529
0.183 0.981 0.171
0.638 0.627 0.471
0.420 0.816 0.277
0.362 0.529 0.372
0.184 0.580 0.723
0.628 0.471 0.638
0.819 0.767 0.335
0.580 0.723 0.184
0.981 0.171 0.183
0.232 0.181 0.665
0.817 0.829 0.019
0.816 0.277 0.420
0.233 0.234 0.234
0.768 0.335 0.819
0.471 0.639 0.628
0.529 0.372 0.361
0.295 0.000 0.706
0.000 0.000 0.000
0.766 0.766 0.766
0.181 0.665 0.233
0.277 0.420 0.816
0.830 0.019 0.817
0.705 0.294 0.000
0.000 0.706 0.294
0.700 0.973 0.962
0.533 0.806 0.522
0.194 0.467 0.478
0.244 0.977 0.435
0.521 0.533 0.806
0.300 0.038 0.027
0.023 0.756 0.565
0.061 0.251 0.520
0.806 0.522 0.533
0.480 0.749 0.939
0.973 0.962 0.700
0.939 0.480 0.749
0.565 0.023 0.756
0.962 0.700 0.973
0.038 0.027 0.300
0.749 0.939 0.480
0.479 0.194 0.467
0.756 0.565 0.023
0.520 0.061 0.251
0.467 0.479 0.194
0.977 0.435 0.244
0.027 0.300 0.038
0.435 0.244 0.977
0.251 0.520 0.061
0.255 0.745 0.500
0.000 0.242 0.758
0.500 0.255 0.745
0.745 0.500 0.255
0.242 0.758 0.000
0.758 0.000 0.242
```

As for the space-group type: C2, No. 5. The total DFT energy (no corrections) is -0.509 Ry/atom.



Record 2
Here is a relaxed Li10CrSi2O10 crystal from the Materials Project database. Energies are from GGA+U.

```
Li10CrSi2O10
1.0
-4.888 -0.328 3.688
-1.972 -15.232 1.102
3.091 -1.036 4.002
O Li Cr Si
20 20 2 4
direct
0.032 0.387 0.828
0.729 0.544 0.736
0.582 0.387 0.828
0.088 0.816 0.132
0.786 0.428 0.378
0.447 0.100 0.504
0.585 0.257 0.368
0.402 0.190 0.995
0.249 0.000 0.004
0.550 0.900 0.498
0.152 0.257 0.367
0.421 0.614 0.171
0.595 0.810 0.007
0.272 0.457 0.261
0.970 0.614 0.168
0.845 0.742 0.634
0.903 0.183 0.871
0.215 0.573 0.619
0.760 0.001 0.000
0.410 0.743 0.635
0.220 0.131 0.766
0.352 0.868 0.238
0.048 0.390 0.211
0.326 0.349 0.579
0.083 0.262 0.976
0.778 0.867 0.237
0.916 0.738 0.024
0.563 0.390 0.210
0.346 0.739 0.026
0.130 0.737 0.482
0.953 0.611 0.786
0.509 0.981 0.759
0.867 0.262 0.520
0.269 0.460 0.861
0.438 0.611 0.789
0.490 0.017 0.246
0.649 0.262 0.975
0.672 0.650 0.417
0.644 0.132 0.765
0.732 0.541 0.133
0.034 0.930 0.871
0.961 0.072 0.135
0.220 0.563 0.307
0.399 0.200 0.309
0.600 0.800 0.693
0.781 0.438 0.690
```

As for the space-group type: P1, No. 1. The total DFT energy (no corrections) is -0.437 Ry/atom.



Record 3
Here is a relaxed Li3CrSi6O15 crystal from the Materials Project database. Energies are from GGA+U.

```
Li3CrSi6O15
1.0
7.888 0.000 0.000
0.000 9.807 0.000
0.000 0.000 14.933
O Si Li Cr
60 24 12 4
direct
0.915 0.628 0.106
0.585 0.872 0.606
0.926 0.349 0.328
0.086 0.369 0.104
0.415 0.128 0.394
0.021 0.663 0.501
0.479 0.663 0.501
0.426 0.849 0.172
0.250 0.363 0.391
0.415 0.372 0.894
0.250 0.370 0.601
0.979 0.337 0.499
0.086 0.131 0.604
0.938 0.154 0.180
0.085 0.372 0.894
0.750 0.429 0.817
0.750 0.451 0.000
0.250 0.130 0.101
0.438 0.654 0.320
0.750 0.630 0.399
0.562 0.346 0.680
0.574 0.151 0.828
0.914 0.869 0.396
0.750 0.049 0.500
0.074 0.651 0.672
0.074 0.849 0.172
0.914 0.631 0.896
0.979 0.163 0.999
0.521 0.163 0.999
0.250 0.929 0.683
0.586 0.631 0.896
0.062 0.846 0.820
0.750 0.425 0.183
0.479 0.837 0.001
0.562 0.154 0.180
0.250 0.571 0.183
0.250 0.549 0.000
0.062 0.654 0.320
0.750 0.075 0.683
0.521 0.337 0.499
0.085 0.128 0.394
0.750 0.637 0.609
0.586 0.869 0.396
0.438 0.846 0.820
0.938 0.346 0.680
0.414 0.131 0.604
0.250 0.575 0.817
0.926 0.151 0.828
0.426 0.651 0.672
0.750 0.863 0.109
0.585 0.628 0.106
0.574 0.349 0.328
0.250 0.951 0.500
0.021 0.837 0.001
0.915 0.872 0.606
0.250 0.925 0.317
0.750 0.071 0.317
0.414 0.369 0.104
0.250 0.137 0.891
0.750 0.870 0.899
0.443 0.296 0.600
0.057 0.204 0.100
0.750 0.524 0.099
0.443 0.204 0.100
0.557 0.796 0.900
0.940 0.706 0.601
0.557 0.704 0.400
0.250 0.474 0.098
0.440 0.294 0.399
0.943 0.704 0.400
0.250 0.476 0.901
0.940 0.794 0.101
0.057 0.296 0.600
0.440 0.206 0.899
0.060 0.206 0.899
0.560 0.706 0.601
0.060 0.294 0.399
0.750 0.976 0.599
0.250 0.026 0.598
0.750 0.526 0.902
0.750 0.974 0.402
0.250 0.024 0.401
0.560 0.794 0.101
0.943 0.796 0.900
0.500 0.499 0.242
0.500 0.001 0.742
0.250 0.921 0.058
0.750 0.079 0.942
0.000 0.501 0.758
0.250 0.579 0.558
0.500 0.501 0.758
0.000 0.001 0.742
0.750 0.421 0.442
0.000 0.499 0.242
0.500 0.999 0.258
0.000 0.999 0.258
0.250 0.752 0.750
0.750 0.252 0.750
0.250 0.748 0.250
0.750 0.248 0.250
```

As for the space-group type: Pnma, No. 62. The calculation puts the offset from the most stable computed form at 0 kJ/mol of formula units.



Record 4
Here is a relaxed LiCrSi6O15 crystal from the Materials Project database. Energies are from GGA+U.

```
LiCrSi6O15
1.0
4.984 -8.638 0.000
4.984 8.638 0.000
0.000 0.000 14.232
Si Li O Cr
24 4 60 4
direct
0.861 0.733 0.111
0.372 0.733 0.389
0.628 0.863 0.112
0.733 0.372 0.889
0.863 0.735 0.888
0.627 0.266 0.611
0.863 0.628 0.612
0.137 0.372 0.612
0.734 0.373 0.111
0.373 0.139 0.890
0.139 0.373 0.390
0.139 0.267 0.111
0.628 0.267 0.389
0.372 0.137 0.112
0.267 0.139 0.611
0.735 0.863 0.388
0.373 0.734 0.611
0.733 0.861 0.611
0.267 0.628 0.889
0.627 0.861 0.890
0.266 0.627 0.111
0.137 0.265 0.888
0.861 0.627 0.390
0.265 0.137 0.388
0.000 0.000 0.250
0.500 0.000 0.250
0.000 0.500 0.750
0.000 0.000 0.750
0.328 0.841 0.325
0.907 0.764 0.000
0.786 0.734 0.636
0.734 0.786 0.136
0.552 0.264 0.137
0.266 0.214 0.136
0.159 0.988 0.676
0.318 0.837 0.672
0.787 0.736 0.364
0.841 0.012 0.676
0.765 0.358 0.000
0.448 0.215 0.364
0.672 0.159 0.325
0.736 0.448 0.637
0.235 0.642 0.000
0.736 0.787 0.864
0.682 0.019 0.828
0.786 0.551 0.137
0.093 0.236 0.000
0.358 0.765 0.500
0.014 0.673 0.677
0.841 0.328 0.825
0.163 0.682 0.172
0.214 0.449 0.137
0.551 0.786 0.637
0.264 0.213 0.864
0.264 0.551 0.364
0.673 0.014 0.177
0.642 0.907 0.000
0.159 0.672 0.825
0.449 0.214 0.637
0.551 0.264 0.864
0.012 0.841 0.176
0.987 0.159 0.823
0.264 0.552 0.637
0.837 0.318 0.172
0.215 0.448 0.864
0.736 0.449 0.364
0.019 0.682 0.328
0.013 0.841 0.823
0.682 0.163 0.672
0.318 0.981 0.828
0.358 0.093 0.000
0.785 0.552 0.864
0.642 0.235 0.500
0.327 0.986 0.177
0.213 0.264 0.364
0.159 0.987 0.323
0.448 0.736 0.137
0.764 0.907 0.500
0.986 0.327 0.677
0.236 0.093 0.500
0.449 0.736 0.864
0.907 0.642 0.500
0.552 0.785 0.364
0.988 0.159 0.176
0.981 0.318 0.328
0.214 0.266 0.636
0.841 0.013 0.323
0.093 0.358 0.500
0.824 0.162 0.750
0.838 0.176 0.250
0.162 0.824 0.250
0.176 0.838 0.750
```

As for the space-group type: Ccc2, No. 37. The total DFT energy (no corrections) is -0.553 Ry/atom.



Record 5
Here is a relaxed Li2CrSi4O11 crystal from the Materials Project database. Energies are from GGA+U.

```
Li2CrSi4O11
1.0
2.960 -6.772 -4.080
3.427 3.514 6.868
-7.376 -2.831 2.975
Li O Cr Si
4 22 2 8
direct
0.655 0.621 0.276
0.345 0.379 0.724
0.379 0.655 0.034
0.621 0.345 0.966
0.037 0.714 0.751
0.410 0.950 0.733
0.454 0.215 0.108
0.107 0.346 0.892
0.950 0.218 0.540
0.782 0.323 0.733
0.893 0.654 0.108
0.590 0.050 0.267
0.785 0.893 0.239
0.215 0.107 0.761
0.323 0.590 0.540
0.677 0.410 0.460
0.000 0.000 0.000
0.050 0.782 0.460
0.963 0.286 0.249
0.654 0.546 0.761
0.218 0.677 0.267
0.714 0.963 0.677
0.546 0.785 0.892
0.286 0.037 0.323
0.500 0.500 0.000
0.346 0.454 0.239
0.755 0.755 0.000
0.245 0.245 0.000
0.214 0.500 0.322
0.108 0.786 0.286
0.500 0.178 0.286
0.178 0.892 0.678
0.822 0.108 0.322
0.786 0.500 0.678
0.892 0.214 0.714
0.500 0.822 0.714
```

As for the space-group type: I4/m, No. 87. The calculation puts the offset from the most stable computed form at 0 kJ/mol of formula units.